Entry from the Materials Project: a relaxed structure of Rb8U9O31 (GGA-PBE).

Cell lengths 7.070, 14.568, 34.414 Å; angles 90.00, 90.00, 90.00 degrees
Fractional coordinates of all 192 atoms:
1 O 0.586 0.336 0.073
2 O 0.749 0.369 0.675
3 O 0.044 0.665 0.389
4 O 0.527 0.988 0.289
5 O 0.914 0.836 0.427
6 O 0.749 0.131 0.325
7 O 0.934 0.757 0.319
8 O 0.375 0.138 0.344
9 O 0.589 0.088 0.041
10 O 0.052 0.373 0.015
11 O 0.112 0.049 0.097
12 O 0.066 0.257 0.319
13 O 0.552 0.127 0.515
14 O 0.388 0.549 0.403
15 O 0.586 0.164 0.927
16 O 0.544 0.835 0.889
17 O 0.771 0.217 0.455
18 O 0.399 0.205 0.434
19 O 0.302 0.602 0.229
20 O 0.126 0.207 0.873
21 O 0.061 0.006 0.341
22 O 0.251 0.869 0.675
23 O 0.973 0.488 0.211
24 O 0.612 0.049 0.403
25 O 0.086 0.336 0.427
26 O 0.302 0.898 0.771
27 O 0.411 0.912 0.959
28 O 0.002 0.258 0.775
29 O 0.027 0.512 0.789
30 O 0.771 0.283 0.545
31 O 0.729 0.717 0.045
32 O 0.888 0.951 0.903
33 O 0.802 0.898 0.729
34 O 0.448 0.873 0.485
35 O 0.729 0.783 0.955
36 O 0.101 0.795 0.934
37 O 0.101 0.705 0.066
38 O 0.875 0.138 0.156
39 O 0.251 0.631 0.325
40 O 0.601 0.705 0.434
41 O 0.802 0.602 0.271
42 O 0.751 0.631 0.175
43 O 0.125 0.862 0.844
44 O 0.027 0.988 0.211
45 O 0.044 0.835 0.611
46 O 0.874 0.707 0.873
47 O 0.939 0.506 0.341
48 O 0.271 0.217 0.045
49 O 0.502 0.242 0.275
50 O 0.601 0.795 0.566
51 O 0.456 0.335 0.889
52 O 0.911 0.912 0.541
53 O 0.698 0.398 0.771
54 O 0.790 0.750 0.500
55 O 0.198 0.398 0.729
56 O 0.751 0.869 0.825
57 O 0.229 0.783 0.545
58 O 0.198 0.102 0.271
59 O 0.561 0.494 0.841
60 O 0.698 0.102 0.229
61 O 0.498 0.758 0.725
62 O 0.414 0.836 0.073
63 O 0.002 0.242 0.225
64 O 0.899 0.205 0.066
65 O 0.625 0.862 0.656
66 O 0.112 0.451 0.903
67 O 0.249 0.369 0.825
68 O 0.911 0.588 0.459
69 O 0.710 0.250 0.000
70 O 0.626 0.293 0.373
71 O 0.566 0.243 0.819
72 O 0.626 0.207 0.627
73 O 0.375 0.362 0.656
74 O 0.411 0.588 0.041
75 O 0.399 0.295 0.566
76 O 0.973 0.012 0.789
77 O 0.229 0.717 0.455
78 O 0.914 0.664 0.573
79 O 0.126 0.293 0.127
80 O 0.061 0.494 0.659
81 O 0.434 0.757 0.181
82 O 0.448 0.627 0.515
83 O 0.939 0.994 0.659
84 O 0.249 0.131 0.175
85 O 0.125 0.638 0.156
86 O 0.934 0.743 0.681
87 O 0.473 0.012 0.711
88 O 0.561 0.006 0.159
89 O 0.566 0.257 0.181
90 O 0.066 0.243 0.681
91 O 0.089 0.088 0.459
92 O 0.956 0.335 0.611
93 O 0.552 0.373 0.485
94 O 0.875 0.362 0.844
95 O 0.210 0.250 0.500
96 O 0.956 0.165 0.389
97 O 0.290 0.750 0.000
98 O 0.874 0.793 0.127
99 O 0.544 0.665 0.111
100 O 0.502 0.258 0.725
101 O 0.899 0.295 0.934
102 O 0.439 0.506 0.159
103 O 0.089 0.412 0.541
104 O 0.589 0.412 0.959
105 O 0.271 0.283 0.955
106 O 0.612 0.451 0.597
107 O 0.434 0.743 0.819
108 O 0.052 0.127 0.985
109 O 0.948 0.873 0.015
110 O 0.527 0.512 0.711
111 O 0.456 0.165 0.111
112 O 0.414 0.664 0.927
113 O 0.498 0.742 0.275
114 O 0.388 0.951 0.597
115 O 0.998 0.742 0.225
116 O 0.086 0.164 0.573
117 O 0.439 0.994 0.841
118 O 0.998 0.758 0.775
119 O 0.625 0.638 0.344
120 O 0.888 0.549 0.097
121 O 0.473 0.488 0.289
122 O 0.374 0.793 0.373
123 O 0.948 0.627 0.985
124 O 0.374 0.707 0.627
125 Rb 0.283 0.395 0.353
126 Rb 0.753 0.052 0.588
127 Rb 0.760 0.986 0.473
128 Rb 0.747 0.948 0.088
129 Rb 0.804 0.373 0.280
130 Rb 0.217 0.605 0.853
131 Rb 0.783 0.395 0.147
132 Rb 0.253 0.052 0.912
133 Rb 0.717 0.605 0.647
134 Rb 0.196 0.873 0.280
135 Rb 0.747 0.552 0.912
136 Rb 0.740 0.486 0.027
137 Rb 0.260 0.986 0.027
138 Rb 0.260 0.514 0.973
139 Rb 0.247 0.552 0.588
140 Rb 0.696 0.873 0.220
141 Rb 0.740 0.014 0.973
142 Rb 0.217 0.895 0.147
143 Rb 0.196 0.627 0.720
144 Rb 0.304 0.127 0.780
145 Rb 0.240 0.486 0.473
146 Rb 0.783 0.105 0.853
147 Rb 0.760 0.514 0.527
148 Rb 0.753 0.448 0.412
149 Rb 0.804 0.127 0.720
150 Rb 0.304 0.373 0.220
151 Rb 0.247 0.948 0.412
152 Rb 0.240 0.014 0.527
153 Rb 0.696 0.627 0.780
154 Rb 0.717 0.895 0.353
155 Rb 0.253 0.448 0.088
156 Rb 0.283 0.105 0.647
157 U 0.414 0.788 0.943
158 U 0.381 0.672 0.390
159 U 0.516 0.116 0.285
160 U 0.550 0.250 0.500
161 U 0.050 0.250 0.000
162 U 0.119 0.328 0.890
163 U 0.063 0.368 0.669
164 U 0.516 0.384 0.715
165 U 0.450 0.750 0.500
166 U 0.086 0.288 0.557
167 U 0.881 0.828 0.890
168 U 0.563 0.368 0.831
169 U 0.414 0.712 0.057
170 U 0.437 0.632 0.169
171 U 0.063 0.132 0.331
172 U 0.984 0.884 0.785
173 U 0.586 0.212 0.057
174 U 0.914 0.788 0.557
175 U 0.950 0.750 0.000
176 U 0.437 0.868 0.831
177 U 0.984 0.616 0.215
178 U 0.563 0.132 0.169
179 U 0.619 0.172 0.390
180 U 0.619 0.328 0.610
181 U 0.484 0.884 0.715
182 U 0.016 0.384 0.785
183 U 0.937 0.868 0.669
184 U 0.119 0.172 0.110
185 U 0.586 0.288 0.943
186 U 0.914 0.712 0.443
187 U 0.381 0.828 0.610
188 U 0.484 0.616 0.285
189 U 0.881 0.672 0.110
190 U 0.937 0.632 0.331
191 U 0.016 0.116 0.215
192 U 0.086 0.212 0.443

Values from the calculation:
Its calculated formation energy is -3.320 eV per atom.